A relaxed SrCaPrSbO6 crystal. Source: the Materials Project, functional PBE.

Computed properties:
The calculation puts the energy above the most stable polymorph in this dataset at 0 meV per atom. For the magnetic moment, the calculation gives 0.0 μB per formula unit. As for the symmetry: P-1. For the formation enthalpy at 0 K, the calculation gives -3.01 eV per atom.

```
20
Lattice="5.865 0.000 0.000 -0.002 6.017 0.000 -0.082 -0.030 8.415" Properties=species:S:1:pos:R:3 pbc="T T T"
Sr 0.044 0.278 2.101
Sr 5.736 5.709 6.314
Ca 2.829 3.283 2.134
Ca 2.951 2.704 6.281
Pr -0.042 2.994 4.207
Pr 2.933 0.000 0.000
Sb -0.001 3.008 0.000
Sb 2.891 -0.015 4.207
O 0.626 3.174 6.506
O 1.022 4.687 0.469
O 1.255 4.898 3.812
O 1.626 1.921 0.531
O 1.888 1.685 3.683
O 2.311 0.315 6.125
O 3.469 5.672 2.290
O 3.892 4.302 4.732
O 4.154 4.066 7.884
O 4.525 1.089 4.603
O 4.758 1.300 7.946
O 5.154 2.813 1.909
```

A relaxed GdIn2Cu9 crystal. Source: the Materials Project, functional PBE.

Computed properties:
For the magnetic moment, the calculation gives 7.1 μB per formula unit. As for the symmetry: P4/mbm. For the formation enthalpy at 0 K, the calculation gives -0.13 eV per atom.

```
24
Lattice="8.448 0.000 0.000 0.000 8.448 0.000 0.000 0.000 5.039" Properties=species:S:1:pos:R:3 pbc="T T T"
Gd 0.000 0.000 0.000
Gd 4.224 4.224 0.000
In 1.051 3.173 0.000
In 3.173 7.397 0.000
In 5.275 1.051 0.000
In 7.397 5.275 0.000
Cu 0.000 4.224 2.520
Cu 0.533 1.717 2.520
Cu 1.498 5.722 1.239
Cu 1.498 5.722 3.800
Cu 1.717 7.915 2.520
Cu 2.507 3.691 2.520
Cu 2.726 1.498 1.239
Cu 2.726 1.498 3.800
Cu 3.691 5.941 2.520
Cu 4.224 0.000 2.520
Cu 4.757 2.507 2.520
Cu 5.722 6.950 1.239
Cu 5.722 6.950 3.800
Cu 5.941 4.757 2.520
Cu 6.730 0.533 2.520
Cu 6.950 2.726 1.239
Cu 6.950 2.726 3.800
Cu 7.915 6.730 2.520
```

A relaxed Sc8B8As3Rh20 crystal. Source: the Materials Project, functional PBE.

Computed properties:
For the magnetic moment, the calculation gives 0.0 μB per formula unit. As for the symmetry: P2/m. For the formation enthalpy at 0 K, the calculation gives -0.79 eV per atom.

```
39
Lattice="9.203 0.000 0.000 0.000 3.165 0.000 -0.002 0.000 18.408" Properties=species:S:1:pos:R:3 pbc="T T T"
Sc 1.589 0.000 2.961
Sc 1.604 0.000 12.255
Sc 2.994 0.000 7.590
Sc 2.994 0.000 16.829
Sc 6.207 0.000 1.580
Sc 6.207 0.000 10.818
Sc 7.597 0.000 6.153
Sc 7.612 0.000 15.447
B 1.071 0.000 15.107
B 1.122 0.000 5.705
B 3.317 0.000 1.053
B 3.471 0.000 10.348
B 5.730 0.000 8.061
B 5.884 0.000 17.355
B 8.079 0.000 12.704
B 8.130 0.000 3.302
As -0.001 0.000 9.204
As 4.589 0.000 13.863
As 4.612 0.000 4.546
Rh 0.010 1.583 4.577
Rh 0.626 1.583 16.510
Rh 0.653 1.583 7.218
Rh 1.904 1.583 0.629
Rh 1.985 1.583 9.877
Rh 2.600 1.583 14.502
Rh 2.623 1.583 5.279
Rh 3.908 1.583 2.604
Rh 3.934 1.583 11.825
Rh 4.602 1.583 0.000
Rh 4.600 1.583 9.204
Rh 5.267 1.583 6.584
Rh 5.293 1.583 15.804
Rh 6.578 1.583 13.129
Rh 6.601 1.583 3.906
Rh 7.216 1.583 8.531
Rh 7.297 1.583 17.780
Rh 8.548 1.583 11.190
Rh 8.575 1.583 1.898
Rh 9.191 1.583 13.832
```

A relaxed Sn3Ge crystal. Source: the Materials Project, functional PBE.

Computed properties:
For the magnetic moment, the calculation gives 0.0 μB per formula unit. As for the symmetry: Fm-3m. For the formation enthalpy at 0 K, the calculation gives 0.15 eV per atom.

```
4
Lattice="0.000 3.709 3.709 3.709 0.000 3.709 3.709 3.709 0.000" Properties=species:S:1:pos:R:3 pbc="T T T"
Sn 0.000 0.000 0.000
Sn 1.854 1.854 1.854
Sn 5.563 5.563 5.563
Ge 3.709 3.709 3.709
```

Q: The highest magnetic moment belongs to which entry?
A: GdIn2Cu9

Q: Which value of formation enthalpy at 0 K does entry 3 give?
A: -0.79 eV per atom

Q: The highest magnetic moment belongs to which entry?
A: GdIn2Cu9

Q: Which of these has the lowest formation enthalpy at 0 K?
A: SrCaPrSbO6